Entry 1:
4
Lattice="6.539 -1.798 -0.009 6.539 1.798 -0.009 6.049 0.000 3.066" Properties=species:S:1:pos:R:3 comment="RbEuO2, optimized geometry, DFT r²SCAN" dft_energy_ev_per_cell=-74.2 formation_enthalpy_0k_ev_per_atom=-2.46 mass_density_g_cm3=6.2 pbc="T T T"
Rb 0.000 0.000 0.000
Eu 9.563 0.000 1.524
O 14.802 0.000 2.359
O 4.324 0.000 0.689

=====

Entry 2:
22
Lattice="0.874 -1.636 7.056 -5.803 -1.524 4.118 -1.137 -6.830 2.300" Properties=species:S:1:pos:R:3 comment="Eu2Ru2O7, optimized geometry, DFT r²SCAN" dft_energy_ev_per_cell=-386.7 formation_enthalpy_0k_ev_per_atom=-2.15 mass_density_g_cm3=7.5 pbc="T T T"
Eu -3.222 -2.829 7.271
Eu -3.791 -6.244 8.421
Eu -4.228 -5.426 4.893
Eu -0.889 -5.482 6.362
Ru -0.758 -1.249 1.684
Ru -0.321 -2.067 5.212
Ru -3.660 -2.011 3.743
Ru -1.327 -4.664 2.834
O 0.046 -1.140 3.503
O -4.172 -3.909 9.394
O -0.407 -3.887 4.417
O -5.371 -7.005 6.559
O -0.767 -3.238 1.582
O -2.659 -1.066 2.289
O -3.085 -3.847 3.227
O -4.549 -7.492 10.105
O -0.688 -2.994 6.921
O -4.660 -2.955 5.198
O -3.033 -4.995 6.737
O -2.273 -1.749 5.149
O -1.371 -7.077 8.308
O -1.887 -6.089 4.086